(1)
# TbCrO3

A geometry-optimized TbCrO3 structure (PBE+U, the Materials Project).

- SG = Pnma (62)
- uncorrected energy (eV/atom) = -8.230

Cell lengths 5.607, 7.683, 5.326 Å; angles 90.00, 90.00, 90.00 degrees
Fractional coordinates of all 20 atoms:
Tb (0.066, 0.250, 0.019)
Tb (0.434, 0.750, 0.519)
Tb (0.566, 0.250, 0.481)
Tb (0.934, 0.750, 0.981)
Cr (0.000, 0.000, 0.500)
Cr (0.000, 0.500, 0.500)
Cr (0.500, 0.000, 0.000)
Cr (0.500, 0.500, 0.000)
O (0.040, 0.750, 0.389)
O (0.199, 0.557, 0.805)
O (0.199, 0.943, 0.805)
O (0.301, 0.057, 0.305)
O (0.301, 0.443, 0.305)
O (0.460, 0.250, 0.889)
O (0.540, 0.750, 0.111)
O (0.699, 0.557, 0.695)
O (0.699, 0.943, 0.695)
O (0.801, 0.057, 0.195)
O (0.801, 0.443, 0.195)
O (0.960, 0.250, 0.611)


(2)
# MgVMoO5

A geometry-optimized MgVMoO5 structure (PBE+U, the Materials Project).

- SG = Cm (8)
- offset from the most stable computed form (eV/f.u.) = 0.345

Cell lengths 5.340, 5.340, 6.378 Å; angles 124.86, 124.86, 43.71 degrees
Fractional coordinates of all 8 atoms:
Mg (0.000, 0.000, 0.000)
V (0.821, 0.821, 0.377)
Mo (0.620, 0.620, 0.754)
O (0.071, 0.071, 0.741)
O (0.361, 0.361, 0.452)
O (0.574, 0.574, 0.032)
O (0.739, 0.739, 0.622)
O (0.861, 0.861, 0.121)


(3)
# CoP2O7

A geometry-optimized CoP2O7 structure (PBE+U, the Materials Project).

- SG = P2_1/c (14)
- offset from the most stable computed form (eV/f.u.) = 0.667

Cell lengths 8.999, 12.878, 9.523 Å; angles 90.00, 109.86, 90.00 degrees
Fractional coordinates of all 80 atoms:
Co (0.246, 0.247, 0.246)
Co (0.246, 0.253, 0.746)
Co (0.251, 0.088, 0.502)
Co (0.251, 0.412, 0.002)
Co (0.749, 0.588, 0.998)
Co (0.749, 0.912, 0.498)
Co (0.754, 0.747, 0.254)
Co (0.754, 0.753, 0.754)
P (0.008, 0.222, 0.927)
P (0.008, 0.278, 0.427)
P (0.043, 0.048, 0.731)
P (0.043, 0.452, 0.231)
P (0.441, 0.037, 0.263)
P (0.441, 0.463, 0.763)
P (0.483, 0.212, 0.067)
P (0.483, 0.288, 0.567)
P (0.517, 0.712, 0.433)
P (0.517, 0.788, 0.933)
P (0.559, 0.537, 0.237)
P (0.559, 0.963, 0.737)
P (0.957, 0.548, 0.769)
P (0.957, 0.952, 0.269)
P (0.992, 0.722, 0.573)
P (0.992, 0.778, 0.073)
O (0.036, 0.625, 0.682)
O (0.036, 0.875, 0.182)
O (0.095, 0.510, 0.902)
O (0.095, 0.990, 0.402)
O (0.102, 0.177, 0.083)
O (0.102, 0.323, 0.583)
O (0.122, 0.210, 0.369)
O (0.122, 0.290, 0.869)
O (0.135, 0.537, 0.329)
O (0.135, 0.718, 0.078)
O (0.135, 0.782, 0.578)
O (0.135, 0.963, 0.829)
O (0.150, 0.121, 0.669)
O (0.150, 0.379, 0.169)
O (0.344, 0.115, 0.326)
O (0.344, 0.385, 0.826)
O (0.348, 0.555, 0.681)
O (0.348, 0.945, 0.181)
O (0.363, 0.736, 0.915)
O (0.363, 0.764, 0.415)
O (0.375, 0.218, 0.628)
O (0.375, 0.282, 0.128)
O (0.390, 0.180, 0.903)
O (0.390, 0.320, 0.403)
O (0.411, 0.505, 0.108)
O (0.411, 0.995, 0.608)
O (0.494, 0.605, 0.345)
O (0.494, 0.895, 0.845)
O (0.506, 0.105, 0.155)
O (0.506, 0.395, 0.655)
O (0.589, 0.005, 0.392)
O (0.589, 0.495, 0.892)
O (0.610, 0.680, 0.597)
O (0.610, 0.820, 0.097)
O (0.625, 0.718, 0.872)
O (0.625, 0.782, 0.372)
O (0.637, 0.236, 0.585)
O (0.637, 0.264, 0.085)
O (0.652, 0.055, 0.819)
O (0.652, 0.445, 0.319)
O (0.656, 0.615, 0.174)
O (0.656, 0.885, 0.674)
O (0.850, 0.621, 0.831)
O (0.850, 0.879, 0.331)
O (0.865, 0.037, 0.171)
O (0.865, 0.218, 0.422)
O (0.865, 0.282, 0.922)
O (0.865, 0.463, 0.671)
O (0.878, 0.710, 0.131)
O (0.878, 0.790, 0.631)
O (0.898, 0.677, 0.417)
O (0.898, 0.823, 0.917)
O (0.905, 0.010, 0.598)
O (0.905, 0.490, 0.098)
O (0.964, 0.125, 0.818)
O (0.964, 0.375, 0.318)


(4)
# RbNa3Mo2H18O17

A geometry-optimized RbNa3Mo2H18O17 structure (PBE+U, the Materials Project).

- SG = P6_3/m (176)
- uncorrected energy (eV/atom) = -5.329

Cell lengths 9.724, 9.724, 12.299 Å; angles 90.00, 90.00, 120.00 degrees
Fractional coordinates of all 82 atoms:
Rb (0.000, 0.000, 0.250)
Rb (0.000, 0.000, 0.750)
Na (0.167, 0.710, 0.250)
Na (0.290, 0.457, 0.250)
Na (0.457, 0.167, 0.750)
Na (0.543, 0.833, 0.250)
Na (0.710, 0.543, 0.750)
Na (0.833, 0.290, 0.750)
Mo (0.333, 0.667, 0.524)
Mo (0.333, 0.667, 0.976)
Mo (0.667, 0.333, 0.024)
Mo (0.667, 0.333, 0.476)
H (0.050, 0.629, 0.686)
H (0.050, 0.629, 0.814)
H (0.084, 0.748, 0.049)
H (0.084, 0.748, 0.451)
H (0.085, 0.324, 0.600)
H (0.085, 0.324, 0.900)
H (0.239, 0.915, 0.600)
H (0.239, 0.915, 0.900)
H (0.252, 0.336, 0.049)
H (0.252, 0.336, 0.451)
H (0.324, 0.239, 0.100)
H (0.324, 0.239, 0.400)
H (0.336, 0.084, 0.549)
H (0.336, 0.084, 0.951)
H (0.371, 0.421, 0.686)
H (0.371, 0.421, 0.814)
H (0.421, 0.050, 0.186)
H (0.421, 0.050, 0.314)
H (0.579, 0.950, 0.686)
H (0.579, 0.950, 0.814)
H (0.629, 0.579, 0.186)
H (0.629, 0.579, 0.314)
H (0.664, 0.916, 0.049)
H (0.664, 0.916, 0.451)
H (0.676, 0.761, 0.600)
H (0.676, 0.761, 0.900)
H (0.748, 0.664, 0.549)
H (0.748, 0.664, 0.951)
H (0.761, 0.085, 0.100)
H (0.761, 0.085, 0.400)
H (0.915, 0.676, 0.100)
H (0.915, 0.676, 0.400)
H (0.916, 0.252, 0.549)
H (0.916, 0.252, 0.951)
H (0.950, 0.371, 0.186)
H (0.950, 0.371, 0.314)
O (0.021, 0.414, 0.250)
O (0.028, 0.757, 0.113)
O (0.028, 0.757, 0.387)
O (0.186, 0.715, 0.571)
O (0.186, 0.715, 0.929)
O (0.243, 0.271, 0.113)
O (0.243, 0.271, 0.387)
O (0.271, 0.028, 0.613)
O (0.271, 0.028, 0.887)
O (0.285, 0.472, 0.571)
O (0.285, 0.472, 0.929)
O (0.333, 0.667, 0.121)
O (0.333, 0.667, 0.379)
O (0.393, 0.979, 0.250)
O (0.414, 0.393, 0.750)
O (0.472, 0.186, 0.071)
O (0.472, 0.186, 0.429)
O (0.528, 0.814, 0.571)
O (0.528, 0.814, 0.929)
O (0.586, 0.607, 0.250)
O (0.607, 0.021, 0.750)
O (0.667, 0.333, 0.621)
O (0.667, 0.333, 0.879)
O (0.715, 0.528, 0.071)
O (0.715, 0.528, 0.429)
O (0.729, 0.972, 0.113)
O (0.729, 0.972, 0.387)
O (0.757, 0.729, 0.613)
O (0.757, 0.729, 0.887)
O (0.814, 0.285, 0.071)
O (0.814, 0.285, 0.429)
O (0.972, 0.243, 0.613)
O (0.972, 0.243, 0.887)
O (0.979, 0.586, 0.750)


(5)
# NaNiO2

A geometry-optimized NaNiO2 structure (PBE+U, the Materials Project).

- uncorrected energy (eV/atom) = -4.601

Cell lengths 3.044, 8.482, 6.364 Å; angles 85.09, 90.00, 90.02 degrees
Fractional coordinates of all 16 atoms:
Na (0.000, 0.500, 0.000)
Na (0.500, 0.750, 0.750)
Na (0.000, 0.999, 0.500)
Na (0.500, 0.250, 0.250)
Ni (0.001, 0.500, 0.501)
Ni (0.501, 0.750, 0.249)
Ni (0.001, 0.000, 0.001)
Ni (0.501, 0.250, 0.749)
O (0.044, 0.271, 0.533)
O (0.455, 0.522, 0.284)
O (0.044, 0.771, 0.032)
O (0.455, 0.022, 0.784)
O (0.956, 0.728, 0.466)
O (0.544, 0.978, 0.217)
O (0.956, 0.228, 0.966)
O (0.544, 0.479, 0.717)


(6)
# MgMn6O8F4

A geometry-optimized MgMn6O8F4 structure (PBE+U, the Materials Project).

- SG = P1 (1)
- offset from the most stable computed form (eV/f.u.) = 0.017

Cell lengths 5.721, 5.991, 7.084 Å; angles 72.97, 74.76, 83.01 degrees
Fractional coordinates of all 19 atoms:
Mg (0.000, 0.000, 0.000)
Mn (0.374, 0.774, 0.668)
Mn (0.389, 0.784, 0.175)
Mn (0.624, 0.176, 0.828)
Mn (0.631, 0.177, 0.343)
Mn (0.968, 0.494, 0.513)
Mn (0.970, 0.513, 0.002)
O (0.089, 0.595, 0.709)
O (0.236, 0.726, 0.966)
O (0.446, 0.910, 0.373)
O (0.558, 0.046, 0.630)
O (0.640, 0.493, 0.667)
O (0.694, 0.848, 0.995)
O (0.751, 0.264, 0.042)
O (0.867, 0.405, 0.301)
F (0.015, 0.844, 0.296)
F (0.017, 0.134, 0.703)
F (0.265, 0.180, 0.006)
F (0.318, 0.449, 0.359)


(7)
# ErMnO3

A geometry-optimized ErMnO3 structure (PBE+U, the Materials Project).

- SG = Pnma (62)
- uncorrected energy (eV/atom) = -8.017

Cell lengths 5.844, 7.456, 5.294 Å; angles 90.00, 90.00, 90.00 degrees
Fractional coordinates of all 20 atoms:
Er (0.084, 0.250, 0.019)
Er (0.416, 0.750, 0.519)
Er (0.584, 0.250, 0.481)
Er (0.916, 0.750, 0.981)
Mn (0.000, 0.000, 0.500)
Mn (0.000, 0.500, 0.500)
Mn (0.500, 0.000, 0.000)
Mn (0.500, 0.500, 0.000)
O (0.046, 0.750, 0.376)
O (0.173, 0.558, 0.802)
O (0.173, 0.942, 0.802)
O (0.327, 0.058, 0.302)
O (0.327, 0.442, 0.302)
O (0.454, 0.250, 0.876)
O (0.546, 0.750, 0.124)
O (0.673, 0.558, 0.698)
O (0.673, 0.942, 0.698)
O (0.827, 0.058, 0.198)
O (0.827, 0.442, 0.198)
O (0.954, 0.250, 0.624)


(8)
# Li4FeP6H8O22

A geometry-optimized Li4FeP6H8O22 structure (PBE+U, the Materials Project).

- SG = P-1 (2)
- uncorrected energy (eV/atom) = -6.280

Cell lengths 6.977, 7.487, 8.589 Å; angles 84.92, 76.35, 86.04 degrees
Fractional coordinates of all 41 atoms:
Li (0.073, 0.352, 0.081)
Li (0.316, 0.446, 0.741)
Li (0.684, 0.554, 0.259)
Li (0.927, 0.648, 0.919)
Fe (0.000, 0.000, 0.500)
P (0.220, 0.021, 0.806)
P (0.344, 0.709, 0.993)
P (0.443, 0.211, 0.333)
P (0.557, 0.789, 0.667)
P (0.656, 0.291, 0.007)
P (0.780, 0.979, 0.194)
H (0.023, 0.386, 0.380)
H (0.037, 0.587, 0.317)
H (0.265, 0.761, 0.312)
H (0.275, 0.731, 0.494)
H (0.725, 0.269, 0.506)
H (0.735, 0.239, 0.688)
H (0.963, 0.413, 0.683)
H (0.977, 0.614, 0.620)
O (0.017, 0.526, 0.699)
O (0.069, 0.934, 0.742)
O (0.183, 0.773, 0.424)
O (0.196, 0.215, 0.838)
O (0.211, 0.577, 0.952)
O (0.232, 0.180, 0.414)
O (0.246, 0.910, 0.973)
O (0.398, 0.683, 0.152)
O (0.439, 0.983, 0.688)
O (0.448, 0.660, 0.600)
O (0.451, 0.279, 0.145)
O (0.549, 0.721, 0.855)
O (0.552, 0.340, 0.400)
O (0.561, 0.017, 0.312)
O (0.602, 0.317, 0.848)
O (0.754, 0.090, 0.027)
O (0.768, 0.820, 0.586)
O (0.789, 0.423, 0.048)
O (0.804, 0.785, 0.162)
O (0.817, 0.227, 0.576)
O (0.931, 0.066, 0.258)
O (0.983, 0.474, 0.301)


(9)
# MgCr2Co2O8

A geometry-optimized MgCr2Co2O8 structure (PBE+U, the Materials Project).

- SG = P-1 (2)
- offset from the most stable computed form (eV/f.u.) = 1.826

Cell lengths 5.226, 5.228, 6.235 Å; angles 86.31, 86.42, 64.82 degrees
Fractional coordinates of all 13 atoms:
Mg (0.000, 0.000, 0.000)
Cr (0.171, 0.171, 0.299)
Cr (0.829, 0.829, 0.701)
Co (0.500, 0.500, 0.000)
Co (0.500, 0.500, 0.500)
O (0.205, 0.732, 0.751)
O (0.261, 0.261, 0.521)
O (0.268, 0.794, 0.249)
O (0.271, 0.270, 0.059)
O (0.729, 0.730, 0.941)
O (0.732, 0.206, 0.751)
O (0.739, 0.739, 0.479)
O (0.795, 0.268, 0.249)


(10)
# MgMn4Cr2O12

A geometry-optimized MgMn4Cr2O12 structure (PBE+U, the Materials Project).

- SG = C2 (5)
- uncorrected energy (eV/atom) = -7.192

Cell lengths 5.105, 5.105, 10.144 Å; angles 90.49, 90.49, 59.76 degrees
Fractional coordinates of all 19 atoms:
Mg (0.000, 0.000, 0.000)
Mn (0.001, 0.827, 0.263)
Mn (0.173, 0.999, 0.737)
Mn (0.501, 0.331, 0.749)
Mn (0.669, 0.499, 0.251)
Cr (0.333, 0.167, 0.252)
Cr (0.833, 0.667, 0.748)
O (0.167, 0.687, 0.850)
O (0.177, 0.329, 0.652)
O (0.313, 0.833, 0.150)
O (0.342, 0.503, 0.347)
O (0.490, 0.009, 0.846)
O (0.497, 0.658, 0.653)
O (0.671, 0.823, 0.348)
O (0.690, 0.154, 0.150)
O (0.827, 0.010, 0.652)
O (0.846, 0.310, 0.850)
O (0.990, 0.173, 0.348)
O (0.991, 0.510, 0.154)


(11)
# Pr2MoO6

A geometry-optimized Pr2MoO6 structure (PBE+U, the Materials Project).

- SG = C2/c (15)
- uncorrected energy (eV/atom) = -7.850

Cell lengths 10.307, 10.307, 5.627 Å; angles 104.83, 104.83, 68.66 degrees
Fractional coordinates of all 36 atoms:
Pr (0.055, 0.288, 0.882)
Pr (0.111, 0.889, 0.750)
Pr (0.288, 0.055, 0.382)
Pr (0.367, 0.633, 0.250)
Pr (0.633, 0.367, 0.750)
Pr (0.712, 0.945, 0.618)
Pr (0.889, 0.111, 0.250)
Pr (0.945, 0.712, 0.118)
Mo (0.203, 0.491, 0.559)
Mo (0.491, 0.203, 0.059)
Mo (0.509, 0.797, 0.941)
Mo (0.797, 0.509, 0.441)
O (0.071, 0.474, 0.269)
O (0.076, 0.109, 0.081)
O (0.109, 0.076, 0.581)
O (0.164, 0.686, 0.416)
O (0.174, 0.613, 0.860)
O (0.213, 0.325, 0.636)
O (0.314, 0.836, 0.084)
O (0.325, 0.213, 0.136)
O (0.383, 0.454, 0.520)
O (0.387, 0.826, 0.640)
O (0.454, 0.383, 0.020)
O (0.474, 0.071, 0.769)
O (0.526, 0.929, 0.231)
O (0.546, 0.617, 0.980)
O (0.613, 0.174, 0.360)
O (0.617, 0.546, 0.480)
O (0.675, 0.787, 0.864)
O (0.686, 0.164, 0.916)
O (0.787, 0.675, 0.364)
O (0.826, 0.387, 0.140)
O (0.836, 0.314, 0.584)
O (0.891, 0.924, 0.419)
O (0.924, 0.891, 0.919)
O (0.929, 0.526, 0.731)